1.
A plane-wave DFT calculation with PBE was carried out for an optimized crystal structure of ZnS.

The structure in POSCAR format:
```
ZnS
1.0
-3.6189 -4.9207 -10.8124
12.0196 -4.9558 -2.1069
-3.6297 -12.0915 7.2393
Zn S
50 50
Cartesian
3.7195 -7.4818 -4.0578
0.0916 -6.5074 -8.2293
2.5235 -13.7213 2.6883
0.7803 -15.7480 -5.9356
-4.6433 -12.6626 -3.8132
9.7706 -8.5298 -5.5648
6.1948 -18.0929 -3.9376
0.1837 -9.8270 -7.0753
4.5966 -12.4104 1.6501
0.6261 -1.1384 -0.8068
6.2620 -13.9571 -5.2303
1.4883 -12.4543 -6.6085
3.9743 -13.7678 -1.6850
-2.5241 -9.5036 -4.9702
8.4163 -12.3159 -6.1143
9.6344 -7.7476 -2.2569
-2.7759 -8.7961 -1.5690
6.5926 -11.4159 -0.2982
1.7975 -16.8188 -3.4381
-5.6367 -16.1814 -1.4153
5.3848 -14.7191 2.4662
6.4629 -8.5343 -3.3443
-1.8231 -11.1980 1.5095
3.6756 -17.8411 0.7908
2.9228 -2.8602 -2.9143
-2.4027 -15.6360 -3.4240
3.4828 -12.2034 -5.3293
5.2335 -11.4330 -8.6723
0.5790 -9.7398 -3.9051
8.7342 -10.0496 0.2005
-0.0319 -11.5269 -0.7430
-3.9607 -7.6832 -8.3231
-1.5691 -18.9239 -4.5016
3.4958 -10.1895 -1.8573
0.1513 -5.6108 -2.8431
7.0922 -4.9022 -3.1137
4.1337 -8.8666 1.7445
7.7221 -11.6383 -3.6318
-1.6075 -6.8459 -5.4683
-1.8473 -10.1731 5.4359
-1.9846 -14.8295 0.1374
0.7825 -5.2039 -0.0544
2.2418 -11.7538 1.1150
-0.0326 -8.3809 0.2100
6.8616 -13.1190 3.5944
5.1123 -8.2596 -10.5039
3.7709 -6.5511 -0.9974
3.4410 -19.1329 -2.7671
2.2421 -9.3810 -9.6103
8.9663 -12.5260 0.5071
0.4597 -10.4370 1.5036
0.9711 -13.4521 4.3155
-2.3931 -6.1715 -7.6368
-0.7527 -10.9540 -5.2901
3.3488 -15.8674 2.1240
2.2867 -12.0948 -1.2115
0.5079 -7.6947 -6.2647
2.3147 -4.9586 -2.0152
5.6788 -13.6339 -0.1110
0.9517 -11.1530 -8.8144
4.3227 -9.3864 -8.5854
8.6099 -9.2662 -3.7087
-3.9181 -10.3278 -3.2333
-0.0689 -3.0553 0.2022
-0.9019 -6.4342 -1.0548
-0.4681 -16.8122 -4.1018
-0.3472 -15.6650 1.5382
-0.2458 -14.0073 -6.8923
2.3834 -15.5826 -1.5399
-6.5688 -16.1029 -3.5576
5.9970 -7.6496 -5.9241
6.0709 -11.9967 -6.5949
1.1899 -6.6530 1.7632
-2.6444 -11.6000 3.6432
5.3873 -6.6017 -2.6886
3.9923 -7.0273 -6.3418
-2.0608 -12.6226 -0.3380
3.0115 -8.5381 -0.2618
2.8650 -9.5773 -4.0199
3.8438 -17.1004 -1.3979
-2.7287 -13.6350 4.1651
5.6514 -19.4160 -2.1538
6.9642 -3.9180 -1.0649
5.8596 -10.5858 -2.3633
9.0750 -13.0237 2.7950
0.3833 -17.1240 0.2628
-0.5017 -9.5666 -1.8990
-3.3296 -14.2371 -4.9391
9.4807 -6.2217 -5.5552
-3.9987 -9.5012 -6.8341
9.1525 -7.7602 0.1281
-0.7439 -4.6926 -4.6872
5.8394 -10.4639 1.7105
4.4869 -13.7133 -3.9234
9.3389 -5.7338 -3.5026
-3.1749 -16.2226 -1.3116
0.6689 -7.6984 -10.0928
-2.4689 -8.9750 0.8687
-0.4798 -6.3760 2.9611
2.8802 -16.5396 -5.4583
```

Values from the calculation:
VASP energy: -3.0932 eV/atom
M_tot: 0.00 μB/cell
Space group: P1 (1)

=====

2.
A plane-wave DFT calculation with PBE was carried out for an optimized crystal structure of ZnS.

The structure in POSCAR format:
```
ZnS
1.0
1.9266 -3.3369 0.0000
1.9266 3.3369 0.0000
0.0000 0.0000 88.1297
S Zn
28 28
Cartesian
1.9266 -1.1123 62.1628
1.9266 1.1123 68.4578
0.0000 0.0000 27.5403
0.0000 0.0000 74.7536
0.0000 0.0000 84.1953
0.0000 0.0000 36.9827
1.9266 -1.1123 14.9503
1.9266 -1.1123 43.2778
0.0000 0.0000 18.0980
1.9266 -1.1123 52.7199
0.0000 0.0000 65.3102
1.9266 1.1123 49.5727
1.9266 1.1123 81.0476
1.9266 -1.1123 71.6038
1.9266 1.1123 11.8029
1.9266 -1.1123 33.8354
1.9266 1.1123 30.6876
0.0000 0.0000 8.6550
1.9266 1.1123 59.0151
1.9266 -1.1123 77.9000
1.9266 1.1123 40.1305
1.9266 1.1123 21.2454
0.0000 0.0000 55.8678
1.9266 -1.1123 24.3931
1.9266 -1.1123 5.5078
1.9266 -1.1123 87.3413
0.0000 0.0000 46.4256
1.9266 1.1123 2.3619
0.0000 0.0000 53.5073
1.9266 1.1123 28.3276
1.9266 1.1123 18.8854
0.0000 0.0000 25.1799
0.0000 0.0000 44.0651
1.9266 1.1123 78.6874
1.9266 1.1123 37.7700
1.9266 -1.1123 84.9826
1.9266 -1.1123 75.5401
0.0000 0.0000 81.8348
0.0000 0.0000 72.3922
1.9266 -1.1123 22.0327
1.9266 1.1123 66.0975
1.9266 1.1123 9.4425
1.9266 1.1123 0.0000
1.9266 -1.1123 12.5903
1.9266 -1.1123 3.1479
0.0000 0.0000 62.9502
1.9266 1.1123 47.2123
1.9266 1.1123 56.6550
1.9266 -1.1123 69.2448
1.9266 -1.1123 31.4749
0.0000 0.0000 6.2952
1.9266 -1.1123 40.9178
1.9266 -1.1123 50.3600
0.0000 0.0000 34.6227
0.0000 0.0000 15.7376
1.9266 -1.1123 59.8024
```

Values from the calculation:
VASP energy: -3.5092 eV/atom
Space group: P3m1 (156)

=====

3.
A plane-wave DFT calculation with PBE was carried out for an optimized crystal structure of ZnS.

The structure in POSCAR format:
```
ZnS
1.0
13.5721 -0.6301 -0.2134
-0.6306 13.1772 1.1138
-0.2224 1.0592 13.3069
S Zn
50 50
Cartesian
11.3597 9.9042 11.2443
0.7725 11.8229 13.6052
2.8376 5.0299 7.5149
7.3942 5.7281 12.5397
7.0940 0.7130 9.6658
3.8717 13.6692 14.2460
5.1100 5.5448 4.2416
12.6144 9.3964 2.2857
5.0217 8.5404 6.5776
9.0727 4.1510 2.5489
-0.4972 8.0450 13.6423
10.3646 3.1281 6.2897
11.0902 12.8427 8.4674
7.9040 7.5632 2.2712
1.5887 1.6566 10.2385
4.0909 8.4945 1.4762
5.1513 7.1164 10.1816
13.0063 3.6357 8.6596
3.5636 10.8255 8.9953
10.1312 5.3399 1.1867
10.4265 3.1474 11.8578
12.3340 2.5123 2.1546
6.9815 9.9898 12.3669
2.1322 3.3326 4.2912
12.0832 7.2444 6.8996
3.5152 12.9168 8.7497
1.7181 1.7602 0.8979
10.7410 12.1000 1.4779
6.7282 4.8610 7.9522
11.0711 9.2821 3.7306
1.8436 7.5126 4.6405
2.3327 5.2574 1.3345
6.6985 4.1929 11.3235
13.1904 1.0415 10.7880
9.9538 5.2964 9.2265
6.8921 10.9616 2.5053
2.7377 10.9197 3.9514
7.1520 11.9958 7.6979
8.9043 9.7967 5.7645
7.8041 8.5544 9.1984
2.3829 13.4576 7.1152
-0.5365 13.0908 5.3286
1.0822 8.1928 9.1454
6.3946 2.2946 5.7753
10.7955 6.6055 10.6439
12.3472 5.3026 3.9902
10.0003 0.2767 3.2945
5.4189 2.4388 1.8668
8.8447 6.3338 5.6477
3.5486 6.3682 11.3320
3.2897 3.2974 2.1978
1.4695 10.3098 9.9357
6.3660 8.9294 1.2729
3.0573 2.3325 12.5303
7.1976 6.4124 4.0817
1.0135 5.2960 4.2305
9.0456 12.1143 9.1777
7.0241 9.6530 7.0216
4.4391 4.0582 11.6806
8.1492 3.8420 6.3970
5.9758 1.1765 3.8457
8.7301 12.2720 2.5310
12.3202 11.0414 9.4626
8.3694 9.3322 3.5997
9.8304 5.3005 12.4231
0.7199 8.5078 6.8116
2.5795 6.5503 9.1497
7.1060 3.8026 1.4372
0.9696 9.3543 3.5398
5.0397 13.8050 12.4259
6.9520 7.8684 11.4633
12.2242 1.4725 8.5854
3.0463 10.6286 1.5118
1.6267 3.5323 8.7033
7.3974 11.8175 11.0037
5.1289 8.9902 8.8433
10.9564 7.1706 4.9197
-0.3468 10.7928 7.5545
11.3073 11.9125 3.7497
5.3690 12.2044 3.8995
11.4121 5.0052 7.3461
5.0325 5.3369 6.5427
12.3726 9.6357 13.3305
12.6717 3.4132 11.1107
2.6304 7.8846 13.0405
12.7654 5.8606 11.7580
6.4170 0.6050 7.2907
8.4366 12.0609 5.8124
0.6578 1.9260 3.1835
0.8895 12.3851 11.2242
9.1555 10.0849 10.7321
3.7751 7.1404 3.3273
3.0049 9.6406 6.0610
12.3781 4.9269 1.7135
1.6493 9.9687 12.4606
1.3666 11.8032 5.7291
8.3237 6.5471 8.0122
10.9389 3.3512 4.0507
11.4576 1.2094 0.4772
0.7661 4.8419 13.2917
```

Values from the calculation:
VASP energy: -3.0618 eV/atom
M_tot: 0.00 μB/cell
Space group: P1 (1)

=====

4.
A plane-wave DFT calculation with PBE was carried out for an optimized crystal structure of ZnS.

The structure in POSCAR format:
```
ZnS
1.0
-1.0084 1.8679 -3.2158
-2.2806 0.1363 3.1028
42.7312 71.7178 28.2574
S Zn
28 28
Cartesian
22.1796 41.0546 16.8913
37.8654 67.2463 24.8774
10.3949 21.1412 6.7116
1.2381 5.7729 0.6564
31.3364 56.4228 22.9465
8.7751 14.7277 5.8028
38.9663 69.2285 27.9921
28.7082 51.8774 18.8219
-0.7120 2.6344 1.7535
5.8164 13.4569 3.6840
14.9732 28.8251 9.7392
4.1965 7.0433 2.7751
31.6668 53.1479 20.9407
27.0884 45.4638 17.9131
8.4446 18.0025 7.8086
33.2868 59.5618 21.8497
13.0228 25.6863 10.8361
19.5515 36.5091 12.7667
22.5102 37.7800 14.8856
3.8663 10.3185 4.7811
17.6013 33.3707 13.8638
35.9140 64.1058 25.9737
17.9317 30.0956 11.8579
24.1296 44.1929 15.7942
26.7579 48.7386 19.9189
36.2455 60.8326 23.9685
13.3534 22.4116 8.8303
42.3502 71.0784 28.0054
16.4569 31.4498 13.1070
25.9439 43.5430 17.1563
27.5637 49.9565 18.0651
21.0351 39.1338 16.1345
41.2052 69.1566 27.2482
4.6721 11.5364 2.9273
35.1024 58.9141 23.2126
16.7874 28.1751 11.1012
32.1420 57.6405 21.0926
30.5225 51.2274 20.1840
2.7218 8.3976 4.0242
7.6306 12.8069 5.0460
30.1920 54.5021 22.1897
22.9854 42.2725 15.0375
34.7702 62.1859 25.2172
9.2504 19.2204 5.9548
13.8287 26.9042 8.9823
12.2089 20.4909 8.0736
36.7204 65.3245 24.1202
21.3657 35.8591 14.1288
37.8226 67.3090 27.2358
-1.8563 0.7140 0.9968
11.8786 23.7658 10.0794
25.6137 46.8181 19.1622
7.3003 16.0820 7.0519
3.0523 5.1229 2.0185
0.0937 3.8521 -0.1004
18.4072 34.5886 12.0100
```

Values from the calculation:
VASP energy: -3.5092 eV/atom
Space group: P3m1 (156)

=====

5.
A plane-wave DFT calculation with PBE was carried out for an optimized crystal structure of ZnS.

The structure in POSCAR format:
```
ZnS
1.0
1.9268 -3.3374 0.0000
1.9268 3.3374 0.0000
0.0000 0.0000 62.9873
Zn S
20 20
Cartesian
1.9268 1.1125 53.5394
1.9268 -1.1125 50.3907
1.9268 -1.1125 6.2989
1.9268 1.1125 12.5976
1.9268 1.1125 34.6429
0.0000 0.0000 56.6884
0.0000 0.0000 0.0009
0.0000 0.0000 28.3445
1.9268 1.1125 25.1951
1.9268 -1.1125 22.0464
1.9268 -1.1125 31.4938
0.0000 0.0000 9.4483
0.0000 0.0000 18.8961
1.9268 -1.1125 59.8379
1.9268 1.1125 3.1496
0.0000 0.0000 47.2405
1.9268 -1.1125 15.7467
1.9268 -1.1125 44.0910
1.9268 1.1125 40.9426
0.0000 0.0000 37.7923
1.9268 1.1125 5.5111
1.9268 1.1125 14.9593
1.9268 -1.1125 8.6605
1.9268 1.1125 43.3034
0.0000 0.0000 59.0485
0.0000 0.0000 40.1562
1.9268 -1.1125 24.4073
0.0000 0.0000 49.6042
1.9268 1.1125 27.5567
1.9268 -1.1125 46.4510
1.9268 -1.1125 18.1068
0.0000 0.0000 11.8099
1.9268 1.1125 55.9010
0.0000 0.0000 30.7061
1.9268 1.1125 37.0029
0.0000 0.0000 2.3617
1.9268 -1.1125 62.2017
1.9268 -1.1125 52.7515
1.9268 -1.1125 33.8555
0.0000 0.0000 21.2600
```

Values from the calculation:
VASP energy: -3.5088 eV/atom
Space group: P3m1 (156)

=====

6.
A plane-wave DFT calculation with PBE was carried out for an optimized crystal structure of ZnS.

The structure in POSCAR format:
```
ZnS
1.0
1.8863 3.3868 -0.0717
-0.7838 2.7122 2.6576
40.2797 -19.4821 34.5905
Zn S
18 18
Cartesian
11.8223 -1.9108 11.0936
4.8023 -0.3576 4.6097
25.4960 -7.0506 23.2002
16.2570 -4.3013 14.8412
29.5608 -11.4729 26.0838
34.3631 -11.8305 30.6935
21.0594 -4.6590 19.4509
38.4300 -16.2540 33.5789
7.7554 2.5127 8.2082
9.2380 -2.7487 8.3582
35.8454 -17.0918 30.8433
31.4107 -14.7012 27.0956
1.1031 6.0987 2.5866
22.9123 -7.8889 20.4654
2.9526 2.8706 3.5980
18.1062 -7.5293 15.8524
26.9764 -12.3109 23.3483
14.4070 -1.0729 13.8292
2.7641 5.2033 3.9902
6.4617 -1.2522 6.0120
31.2223 -12.3685 27.4878
24.5764 -8.7860 21.8716
36.0253 -12.7265 32.0981
22.7192 -5.5537 20.8536
17.9177 -5.1965 16.2445
13.4821 -2.8055 12.4962
16.0697 -1.9693 15.2343
4.6134 1.9753 5.0015
9.4174 1.6167 9.6127
10.8984 -3.6438 9.7613
33.0697 -15.5955 28.4976
19.7671 -8.4246 17.2560
27.1548 -7.9448 24.6020
40.0928 -17.1503 34.9840
28.6352 -13.2050 24.7501
37.5050 -17.9864 32.2457
```

Values from the calculation:
VASP energy: -3.4971 eV/atom
M_tot: 0.00 μB/cell
Space group: R3m (160)

=====

The highest VASP energy belongs to which entry? number 3

=====

Which formula does entry 3 have? ZnS

=====

VASP energy of number 2 (ZnS)? -3.5092 eV/atom

=====

Which value of VASP energy does entry 1 give? -3.0932 eV/atom